i:
# Ac3Ag PBE-GGA optimized geometry
# Mass density ... 8.70 g/cm3
data_Ac3Ag
_chemical_formula_sum 'Ac6 Ag2'
_cell_length_a 5.2040
_cell_length_b 5.2040
_cell_length_c 11.1221
_cell_angle_alpha 90.00
_cell_angle_beta 90.00
_cell_angle_gamma 90.00
_symmetry_space_group_name_H-M 'I 4/m m m'
_symmetry_Int_Tables_number 139
_symmetry_space_group_name_Hall '-I 4 2'
loop_
_atom_site_label
_atom_site_type_symbol
_atom_site_fract_x
_atom_site_fract_y
_atom_site_fract_z
_atom_site_occupancy
Ac1 Ac 0.0000 0.0000 0.0000 1
Ac2 Ac 0.0000 0.5000 0.2500 1
Ag1 Ag 0.0000 0.0000 0.5000 1

---

ii:
# Ac3Ag PBE-GGA optimized geometry
# Mass density ... 8.80 g/cm3
data_Ac3Ag
_chemical_formula_sum 'Ac6 Ag2'
_cell_length_a 7.7355
_cell_length_b 7.7355
_cell_length_c 5.7479
_cell_angle_alpha 90.00
_cell_angle_beta 90.00
_cell_angle_gamma 120.00
_symmetry_space_group_name_H-M 'P 63/m m c'
_symmetry_Int_Tables_number 194
_symmetry_space_group_name_Hall '-P 6c 2c'
loop_
_atom_site_label
_atom_site_type_symbol
_atom_site_fract_x
_atom_site_fract_y
_atom_site_fract_z
_atom_site_occupancy
Ac1 Ac 0.1752 0.3504 0.2500 1
Ag1 Ag 0.3333 0.6667 0.7500 1

---

Ranking the structures above by energy, i is first and the second is 7 meV/atom behind.